Record 1
A plane-wave DFT calculation with GGA+U was carried out for crystalline Li3Mn4P8O28 at its relaxed geometry.

Computed properties:
Its space-group type is P1, No. 1. The uncorrected energy comes out at -7.057 eV/atom. Its corrected total energy (MP2020 scheme) is -7.659 eV/atom. For the energy above the most stable polymorph in this dataset, the calculation gives 5.1 meV/atom.

```
Li3Mn4P8O28
1.0
-1.444 -4.530 -8.416
7.259 -6.140 1.978
-6.813 -5.844 6.890
Li Mn P O
6 8 16 56
Direct
0.146 0.399 0.045 Li
0.414 0.591 0.977 Li
0.400 0.963 0.500 Li
0.912 0.908 0.983 Li
0.830 0.589 0.456 Li
0.893 0.283 0.547 Li
0.203 0.933 0.674 Mn
0.276 0.223 0.833 Mn
0.213 0.724 0.166 Mn
0.306 0.434 0.341 Mn
0.701 0.578 0.676 Mn
0.754 0.286 0.826 Mn
0.719 0.771 0.164 Mn
0.808 0.070 0.333 Mn
0.021 0.443 0.759 P
0.114 0.709 0.887 P
0.068 0.930 0.247 P
0.136 0.159 0.421 P
0.375 0.655 0.582 P
0.424 0.423 0.754 P
0.524 0.051 0.747 P
0.386 0.205 0.111 P
0.615 0.786 0.884 P
0.467 0.934 0.239 P
0.565 0.568 0.245 P
0.628 0.346 0.419 P
0.881 0.859 0.572 P
0.932 0.073 0.759 P
0.877 0.287 0.117 P
0.969 0.556 0.244 P
0.022 0.412 0.630 O
0.041 0.857 0.573 O
0.085 0.081 0.734 O
0.105 0.347 0.857 O
0.091 0.591 0.785 O
0.193 0.821 0.834 O
0.209 0.639 0.002 O
0.023 0.264 0.089 O
0.130 0.076 0.294 O
0.072 0.913 0.114 O
0.121 0.543 0.210 O
0.183 0.304 0.392 O
0.169 0.813 0.309 O
0.231 0.076 0.518 O
0.290 0.584 0.473 O
0.327 0.306 0.692 O
0.331 0.803 0.606 O
0.369 0.042 0.776 O
0.360 0.568 0.701 O
0.404 0.415 0.885 O
0.473 0.750 0.908 O
0.293 0.150 0.993 O
0.313 0.326 0.163 O
0.398 0.086 0.210 O
0.415 0.574 0.274 O
0.376 0.834 0.150 O
0.527 0.067 0.617 O
0.475 0.337 0.431 O
0.535 0.653 0.577 O
0.470 0.909 0.368 O
0.602 0.160 0.835 O
0.576 0.416 0.735 O
0.602 0.909 0.790 O
0.692 0.673 0.825 O
0.719 0.838 0.000 O
0.532 0.240 0.090 O
0.567 0.587 0.112 O
0.630 0.422 0.291 O
0.617 0.939 0.205 O
0.698 0.207 0.408 O
0.672 0.677 0.310 O
0.722 0.434 0.518 O
0.796 0.938 0.464 O
0.841 0.197 0.697 O
0.825 0.715 0.586 O
0.864 0.456 0.785 O
0.917 0.070 0.889 O
0.862 0.938 0.694 O
0.973 0.751 0.911 O
0.778 0.333 0.999 O
0.817 0.169 0.182 O
0.889 0.412 0.212 O
0.887 0.661 0.154 O
0.917 0.922 0.274 O
0.983 0.170 0.438 O
0.975 0.579 0.374 O
```


Record 2
A plane-wave DFT calculation with GGA+U was carried out for crystalline Li4Ti3Mn2Fe3O16 at its relaxed geometry.

Computed properties:
Its space-group type is Cm, No. 8. The uncorrected energy comes out at -7.191 eV/atom. Its corrected total energy (MP2020 scheme) is -7.945 eV/atom.

```
Li4Ti3Mn2Fe3O16
1.0
2.953 5.187 0.000
-2.953 5.187 0.000
0.000 0.350 9.591
Li Ti Mn Fe O
4 3 2 3 16
Direct
0.668 0.668 0.107 Li
0.988 0.988 0.011 Li
0.997 0.997 0.502 Li
0.334 0.334 0.600 Li
0.332 0.831 0.786 Ti
0.831 0.332 0.786 Ti
0.177 0.177 0.284 Ti
0.669 0.669 0.514 Mn
0.338 0.338 0.017 Mn
0.827 0.827 0.786 Fe
0.181 0.663 0.290 Fe
0.663 0.181 0.290 Fe
0.342 0.837 0.404 O
0.521 0.521 0.658 O
0.656 0.656 0.894 O
0.000 0.000 0.687 O
0.010 0.010 0.198 O
0.837 0.342 0.404 O
0.515 0.955 0.656 O
0.955 0.515 0.656 O
0.154 0.154 0.889 O
0.833 0.833 0.405 O
0.045 0.478 0.156 O
0.478 0.045 0.156 O
0.326 0.326 0.398 O
0.166 0.667 0.896 O
0.490 0.490 0.166 O
0.667 0.166 0.896 O
```


Record 3
A plane-wave DFT calculation with GGA+U was carried out for crystalline Mn6O5F7 at its relaxed geometry.

Computed properties:
Its space-group type is Pm, No. 6. The uncorrected energy comes out at -6.678 eV/atom. Its corrected total energy (MP2020 scheme) is -7.605 eV/atom. For the energy above the most stable polymorph in this dataset, the calculation gives 8.7 meV/atom.

```
Mn6O5F7
1.0
9.493 0.000 0.000
0.000 4.732 0.000
0.000 0.373 4.757
Mn O F
6 5 7
Direct
0.000 0.982 0.006 Mn
0.661 0.012 0.975 Mn
0.339 0.012 0.975 Mn
0.158 0.482 0.508 Mn
0.842 0.482 0.508 Mn
0.500 0.511 0.541 Mn
0.500 0.833 0.811 O
0.000 0.281 0.704 O
0.675 0.317 0.693 O
0.325 0.317 0.693 O
0.000 0.679 0.307 O
0.836 0.799 0.806 F
0.164 0.799 0.806 F
0.674 0.707 0.295 F
0.326 0.707 0.295 F
0.826 0.180 0.182 F
0.500 0.221 0.213 F
0.174 0.180 0.182 F
```